{"formula": "CsCa3", "functional": "PBE", "state": "optimized geometry", "rho_g_cm3": 2.05, "ef_ev_per_atom": 0.250, "e_tot_ha_per_atom": -0.054, "space_group": "I4/mmm", "cell": [[-3.0217, 3.0217, 5.6185], [3.0217, -3.0217, 5.6185], [3.0217, 3.0217, -5.6185]], "species": ["Cs", "Ca", "Ca", "Ca"], "fractional_positions": [[0.0000, 0.0000, 0.0000], [0.5000, 0.5000, 0.0000], [0.7500, 0.2500, 0.5000], [0.2500, 0.7500, 0.5000]]}

{"formula": "BaCO3", "functional": "PBE", "state": "optimized geometry", "rho_g_cm3": 3.91, "ef_ev_per_atom": -2.649, "e_tot_ha_per_atom": -0.273, "space_group": "C2/m", "cell": [[-3.9569, 1.7921, 1.5784], [-3.3810, -0.9405, -3.0074], [-5.1721, -6.6593, 3.3185]], "species": ["O", "O", "O", "O", "O", "O", "C", "C", "Ba", "Ba"], "fractional_positions": [[0.9108, 0.4910, 0.1953], [0.5090, 0.0892, 0.8047], [0.0892, 0.5090, 0.8047], [0.7098, 0.7098, 0.4070], [0.2902, 0.2902, 0.5930], [0.4910, 0.9108, 0.1953], [0.2937, 0.2937, 0.7341], [0.7063, 0.7063, 0.2659], [0.5000, 0.5000, 0.0000], [0.0000, 0.0000, 0.5000]]}

{"formula": "LaI3", "functional": "PBE", "state": "optimized geometry", "rho_g_cm3": 4.89, "ef_ev_per_atom": -1.831, "e_tot_ha_per_atom": -0.144, "space_group": "Cmcm", "cell": [[5.5657, 4.2317, -4.1316], [-7.8253, -1.1700, 1.8301], [0.8517, 6.4793, 7.7835]], "species": ["I", "I", "I", "I", "I", "I", "La", "La"], "fractional_positions": [[0.3450, 0.6550, 0.5668], [0.6550, 0.3450, 0.0668], [0.0946, 0.9054, 0.7500], [0.3450, 0.6550, 0.9332], [0.6550, 0.3450, 0.4332], [0.9054, 0.0946, 0.2500], [0.7414, 0.2586, 0.7500], [0.2586, 0.7414, 0.2500]]}

{"formula": "Mg3ZnC", "functional": "PBE", "state": "optimized geometry", "rho_g_cm3": 2.92, "ef_ev_per_atom": 0.175, "e_tot_ha_per_atom": -0.106, "space_group": "Pm-3m", "cell": [[-4.3127, -0.8280, 0.3692], [0.1765, -2.5271, -3.6060], [0.8892, -3.5141, 2.5062]], "species": ["C", "Mg", "Mg", "Mg", "Zn"], "fractional_positions": [[0.5000, 0.5000, 0.5000], [0.0000, 0.5000, 0.5000], [0.5000, 0.0000, 0.5000], [0.5000, 0.5000, 0.0000], [0.0000, 0.0000, 0.0000]]}

{"formula": "ZnP2H4O9", "functional": "PBE", "state": "optimized geometry", "rho_g_cm3": 1.36, "ef_ev_per_atom": -1.703, "e_tot_ha_per_atom": -0.210, "space_group": "Fdd2", "cell": [[0.0000, 7.4724, 8.4569], [5.3258, 0.0000, 8.4569], [5.3258, 7.4724, 0.0000]], "species": ["P", "P", "P", "P", "Zn", "Zn", "O", "O", "O", "O", "O", "O", "O", "O", "O", "O", "O", "O", "O", "O", "O", "O", "O", "O", "H", "H", "H", "H", "H", "H", "H", "H"], "fractional_positions": [[0.9603, 0.7716, 0.3117], [0.4784, 0.2897, 0.2935], [0.2935, 0.9383, 0.4784], [0.3117, 0.9565, 0.9603], [0.5387, 0.9613, 0.5387], [0.2887, 0.7113, 0.2887], [0.2943, 0.8012, 0.4428], [0.3340, 0.3242, 0.2564], [0.2564, 0.0854, 0.3340], [0.9258, 0.9160, 0.1646], [0.1254, 0.0568, 0.6466], [0.1932, 0.1246, 0.0788], [0.4428, 0.4617, 0.2943], [0.8983, 0.6017, 0.8983], [0.4578, 0.8745, 0.4739], [0.6483, 0.3517, 0.6483], [0.4739, 0.1938, 0.4578], [0.1646, 0.9936, 0.9258], [0.0788, 0.6034, 0.1932], [0.3755, 0.7922, 0.0562], [0.6466, 0.1712, 0.1254], [0.0562, 0.7761, 0.3755], [0.4488, 0.9557, 0.7883], [0.7883, 0.8072, 0.4488], [0.7505, 0.0762, 0.1423], [0.2189, 0.1077, 0.1738], [0.1423, 0.0311, 0.7505], [0.1738, 0.4995, 0.2189], [0.3881, 0.2238, 0.1896], [0.0262, 0.8619, 0.0514], [0.0514, 0.0604, 0.0262], [0.1896, 0.1986, 0.3881]]}

{"formula": "K2YAgI6", "functional": "PBE", "state": "optimized geometry", "rho_g_cm3": 3.89, "ef_ev_per_atom": -1.371, "e_tot_ha_per_atom": -0.118, "space_group": "Fm-3m", "cell": [[4.2308, 0.8917, 7.3769], [4.9291, 6.8652, 1.2988], [-2.4031, 5.9890, 5.6099]], "species": ["K", "K", "Ag", "I", "I", "I", "I", "I", "I", "Y"], "fractional_positions": [[0.7500, 0.7500, 0.7500], [0.2500, 0.2500, 0.2500], [0.0000, 0.0000, 0.0000], [0.7498, 0.2502, 0.2502], [0.7498, 0.7498, 0.2502], [0.7498, 0.2502, 0.7498], [0.2502, 0.7498, 0.7498], [0.2502, 0.7498, 0.2502], [0.2502, 0.2502, 0.7498], [0.5000, 0.5000, 0.5000]]}

{"formula": "Sm4AlSi5N7O7", "functional": "PBE", "state": "optimized geometry", "rho_g_cm3": 4.94, "polymorph_energy_ev_per_fu": 0.00, "ef_ev_per_atom": -1.837, "e_tot_ha_per_atom": -0.279, "space_group": "P1", "cell": [[6.9184, 0.0000, 0.0000], [-0.1170, 6.9538, 0.0000], [-2.3121, -1.6845, 20.5032]], "species": ["Al", "Al", "Al", "N", "N", "N", "N", "N", "N", "N", "N", "N", "N", "N", "N", "N", "N", "N", "N", "N", "N", "N", "N", "N", "Si", "Si", "Si", "Si", "Si", "Si", "Si", "Si", "Si", "Si", "Si", "Si", "Si", "Si", "Si", "O", "O", "O", "O", "O", "O", "O", "O", "O", "O", "O", "O", "O", "O", "O", "O", "O", "O", "O", "O", "O", "Sm", "Sm", "Sm", "Sm", "Sm", "Sm", "Sm", "Sm", "Sm", "Sm", "Sm", "Sm"], "fractional_positions": [[0.9898, 0.9264, 0.6717], [0.3647, 0.8132, 0.3897], [0.3502, 0.8889, 0.0002], [0.2029, 0.6416, 0.6843], [0.6686, 0.7242, 0.2060], [0.4103, 0.2362, 0.1576], [0.4882, 0.8059, 0.7741], [0.9969, 0.6531, 0.6574], [0.8952, 0.4459, 0.8410], [0.9441, 0.6985, 0.0244], [0.9304, 0.2976, 0.2136], [0.0688, 0.4268, 0.4674], [0.5965, 0.5852, 0.6397], [0.7344, 0.2273, 0.5037], [0.1186, 0.7009, 0.3575], [0.5235, 0.7162, 0.3267], [0.7677, 0.6693, 0.9712], [0.4599, 0.6765, 0.4694], [0.9310, 0.6847, 0.3105], [0.4668, 0.7654, 0.1695], [0.4795, 0.6207, 0.8010], [0.5789, 0.3032, 0.1250], [0.5604, 0.8198, 0.5212], [0.6259, 0.1989, 0.7850], [0.4061, 0.0076, 0.1917], [0.8232, 0.2304, 0.1369], [0.6822, 0.9144, 0.9652], [0.0916, 0.1813, 0.2650], [0.5923, 0.8136, 0.6131], [0.6917, 0.8504, 0.2866], [0.1357, 0.1168, 0.8865], [0.8719, 0.1058, 0.3420], [0.1764, 0.1187, 0.5599], [0.9609, 0.2092, 0.4787], [0.8831, 0.2033, 0.7919], [0.3705, 0.8372, 0.6935], [0.5264, 0.0227, 0.8219], [0.5495, 0.0644, 0.4998], [0.9587, 0.9500, 0.0404], [0.1749, 0.2868, 0.9502], [0.9219, 0.3659, 0.0870], [0.1911, 0.0230, 0.0509], [0.4166, 0.0551, 0.4264], [0.4097, 0.1746, 0.5520], [0.2322, 0.0285, 0.7030], [0.2776, 0.3360, 0.2927], [0.3426, 0.1523, 0.8494], [0.1877, 0.9905, 0.2221], [0.1444, 0.3008, 0.6143], [0.7619, 0.9923, 0.6276], [0.8591, 0.9981, 0.1106], [0.6658, 0.9723, 0.8887], [0.9541, 0.0385, 0.4160], [0.3661, 0.6418, 0.0194], [0.9579, 0.3090, 0.7269], [0.7569, 0.3171, 0.3541], [0.1263, 0.9061, 0.5819], [0.1927, 0.9046, 0.9215], [0.9122, 0.9588, 0.7563], [0.5646, 0.0553, 0.2563], [0.8035, 0.3444, 0.6184], [0.2397, 0.3701, 0.0653], [0.6212, 0.4110, 0.2527], [0.0734, 0.5915, 0.9269], [0.3398, 0.3961, 0.4099], [0.6813, 0.6322, 0.0925], [0.5978, 0.4445, 0.8784], [0.8041, 0.6459, 0.7538], [0.2313, 0.5948, 0.5683], [0.3026, 0.3554, 0.7246], [0.8383, 0.6216, 0.4102], [0.1774, 0.6329, 0.2511]]}

{"formula": "Tm5TeSe4", "functional": "PBE", "state": "optimized geometry", "rho_g_cm3": 8.92, "ef_ev_per_atom": -1.737, "e_tot_ha_per_atom": -0.202, "space_group": "R-3m", "cell": [[-15.9562, 3.1277, -4.1309], [-14.8565, 1.4051, -7.6654], [-16.1175, -0.9290, -4.5620]], "species": ["Tm", "Tm", "Tm", "Tm", "Tm", "Se", "Se", "Se", "Se", "Te"], "fractional_positions": [[0.1009, 0.1009, 0.1009], [0.8991, 0.8991, 0.8991], [0.5000, 0.5000, 0.5000], [0.7063, 0.7063, 0.7063], [0.2937, 0.2937, 0.2937], [0.5967, 0.5967, 0.5967], [0.1990, 0.1990, 0.1990], [0.4033, 0.4033, 0.4033], [0.8010, 0.8010, 0.8010], [0.0000, 0.0000, 0.0000]]}

{"formula": "CaRhN2", "functional": "PBE", "state": "optimized geometry", "rho_g_cm3": 6.08, "polymorph_energy_ev_per_fu": 0.00, "ef_ev_per_atom": -0.371, "e_tot_ha_per_atom": -0.246, "space_group": "R-3m", "cell": [[-0.7238, -0.7631, 5.3001], [-3.2941, -2.0541, 3.7585], [-0.4820, -3.7034, 3.9051]], "species": ["Rh", "N", "N", "Ca"], "fractional_positions": [[0.5000, 0.5000, 0.5000], [0.7668, 0.7668, 0.7668], [0.2332, 0.2332, 0.2332], [0.0000, 0.0000, 0.0000]]}

{"formula": "K2PdF4", "functional": "PBE", "state": "optimized geometry", "rho_g_cm3": 3.32, "ef_ev_per_atom": -2.419, "e_tot_ha_per_atom": -0.158, "space_group": "C2/m", "cell": [[3.0215, 4.9837, 0.0000], [-3.0215, 4.9837, 0.0000], [0.0000, 0.2230, 4.3217]], "species": ["Pd", "F", "F", "F", "F", "K", "K"], "fractional_positions": [[0.0000, 0.0000, 0.0000], [0.8732, 0.3472, 0.7849], [0.3472, 0.8732, 0.7849], [0.6528, 0.1268, 0.2151], [0.1268, 0.6528, 0.2151], [0.6551, 0.6551, 0.2775], [0.3449, 0.3449, 0.7225]]}

{"formula": "Y5P12Ru19", "functional": "PBE", "state": "optimized geometry", "rho_g_cm3": 8.39, "ef_ev_per_atom": -0.861, "e_tot_ha_per_atom": -0.311, "space_group": "P-62m", "cell": [[6.2752, -10.8690, 0.0000], [6.2752, 10.8690, 0.0000], [0.0000, 0.0000, 3.9723]], "species": ["Ru", "Ru", "Ru", "Ru", "Ru", "Ru", "Ru", "Ru", "Ru", "Ru", "Ru", "Ru", "Ru", "Ru", "Ru", "Ru", "Ru", "Ru", "Ru", "P", "P", "P", "P", "P", "P", "P", "P", "P", "P", "P", "P", "Y", "Y", "Y", "Y", "Y"], "fractional_positions": [[0.8739, 0.3651, 0.5000], [0.8074, 0.1844, 0.0000], [0.1844, 0.8074, 0.0000], [0.1261, 0.4912, 0.5000], [0.6230, 0.8156, 0.0000], [0.4455, 0.4455, 0.0000], [0.0000, 0.5545, 0.0000], [0.5088, 0.6349, 0.5000], [0.8156, 0.6230, 0.0000], [0.3770, 0.1926, 0.0000], [0.2830, 0.2830, 0.5000], [0.5545, 0.0000, 0.0000], [0.1926, 0.3770, 0.0000], [0.6349, 0.5088, 0.5000], [0.7170, 0.0000, 0.5000], [0.0000, 0.7170, 0.5000], [0.4912, 0.1261, 0.5000], [0.0000, 0.0000, 0.0000], [0.3651, 0.8739, 0.5000], [0.0000, 0.3726, 0.0000], [0.1840, 0.1840, 0.0000], [0.8299, 0.5224, 0.5000], [0.0000, 0.8160, 0.0000], [0.5224, 0.8299, 0.5000], [0.6274, 0.6274, 0.0000], [0.1701, 0.6925, 0.5000], [0.8160, 0.0000, 0.0000], [0.4776, 0.3075, 0.5000], [0.3726, 0.0000, 0.0000], [0.6925, 0.1701, 0.5000], [0.3075, 0.4776, 0.5000], [0.0000, 0.1845, 0.5000], [0.1845, 0.0000, 0.5000], [0.3333, 0.6667, 0.0000], [0.6667, 0.3333, 0.0000], [0.8155, 0.8155, 0.5000]]}

{"formula": "KAuC2N2Cl2O", "functional": "PBE", "state": "optimized geometry", "rho_g_cm3": 2.88, "ef_ev_per_atom": 0.076, "e_tot_ha_per_atom": -0.191, "space_group": "C2/c", "cell": [[-1.3356, 3.1598, -5.2778], [4.2072, 6.3858, 2.7585], [5.3448, -7.3032, -3.2243]], "species": ["N", "N", "N", "N", "C", "C", "C", "C", "O", "O", "Cl", "Cl", "Cl", "Cl", "K", "K", "Au", "Au"], "fractional_positions": [[0.6943, 0.4693, 0.1785], [0.1943, 0.7092, 0.1785], [0.3057, 0.5307, 0.8215], [0.8057, 0.2908, 0.8215], [0.6911, 0.1830, 0.7043], [0.8089, 0.4787, 0.2957], [0.3089, 0.8170, 0.2957], [0.1911, 0.5213, 0.7043], [0.5000, 0.0000, 0.0000], [0.0000, 0.0000, 0.0000], [0.2402, 0.3269, 0.3584], [0.7598, 0.6731, 0.6416], [0.2598, 0.9685, 0.6416], [0.7402, 0.0315, 0.3584], [0.7500, 0.6764, 0.0000], [0.2500, 0.3236, 0.0000], [0.0000, 0.5000, 0.5000], [0.5000, 0.0000, 0.5000]]}

{"formula": "Mg2ZnN2", "functional": "PBE", "state": "optimized geometry", "rho_g_cm3": 1.14, "ef_ev_per_atom": 1.346, "e_tot_ha_per_atom": -0.101, "space_group": "P-43m", "cell": [[7.4446, 0.0000, 0.0000], [0.0000, 7.4446, 0.0000], [0.0000, 0.0000, 7.4446]], "species": ["N", "N", "N", "N", "Mg", "Mg", "Mg", "Mg", "Zn", "Zn"], "fractional_positions": [[0.1490, 0.8510, 0.1490], [0.1490, 0.1490, 0.8510], [0.8510, 0.1490, 0.1490], [0.8510, 0.8510, 0.8510], [0.3022, 0.3022, 0.6978], [0.3022, 0.6978, 0.3022], [0.6978, 0.6978, 0.6978], [0.6978, 0.3022, 0.3022], [0.0000, 0.0000, 0.0000], [0.5000, 0.5000, 0.5000]]}

{"formula": "KCd4As3", "functional": "PBE", "state": "optimized geometry", "rho_g_cm3": 5.38, "ef_ev_per_atom": -0.248, "e_tot_ha_per_atom": -0.095, "space_group": "R-3m", "cell": [[-4.0819, -1.9910, -0.4713], [-3.0938, 1.7812, -2.8467], [2.0031, -6.9335, -10.1769]], "species": ["Cd", "Cd", "Cd", "Cd", "K", "As", "As", "As"], "fractional_positions": [[0.0890, 0.0890, 0.7331], [0.9110, 0.9110, 0.2669], [0.6984, 0.6984, 0.9048], [0.3016, 0.3016, 0.0952], [0.5000, 0.5000, 0.5000], [0.2276, 0.2276, 0.3173], [0.7724, 0.7724, 0.6827], [0.0000, 0.0000, 0.0000]]}

{"formula": "RbTlI3", "functional": "PBE", "state": "optimized geometry", "rho_g_cm3": 4.47, "ef_ev_per_atom": -1.026, "e_tot_ha_per_atom": -0.088, "space_group": "Fm-3m", "cell": [[8.4497, -2.4662, -1.2899], [5.3613, -1.3245, 6.9746], [2.5997, -8.2421, 2.1101]], "species": ["I", "I", "I", "I", "I", "I", "Rb", "Rb", "Tl", "Tl"], "fractional_positions": [[0.7573, 0.7573, 0.2427], [0.7573, 0.2427, 0.2427], [0.2427, 0.7573, 0.7573], [0.2427, 0.7573, 0.2427], [0.7573, 0.2427, 0.7573], [0.2427, 0.2427, 0.7573], [0.7500, 0.7500, 0.7500], [0.2500, 0.2500, 0.2500], [0.5000, 0.5000, 0.5000], [0.0000, 0.0000, 0.0000]]}

{"formula": "KNiN", "functional": "PBE", "state": "optimized geometry", "rho_g_cm3": 3.42, "polymorph_energy_ev_per_fu": 0.00, "ef_ev_per_atom": -0.074, "e_tot_ha_per_atom": -0.185, "space_group": "Pnma", "cell": [[-7.0822, -0.6127, 7.6140], [0.1267, -3.4261, -0.1579], [4.4454, -0.0260, 4.1328]], "species": ["N", "N", "N", "N", "K", "K", "K", "K", "Ni", "Ni", "Ni", "Ni"], "fractional_positions": [[0.0721, 0.7500, 0.8277], [0.9279, 0.2500, 0.1723], [0.5721, 0.7500, 0.6723], [0.4279, 0.2500, 0.3277], [0.1582, 0.2500, 0.4304], [0.8418, 0.7500, 0.5696], [0.3418, 0.7500, 0.9304], [0.6582, 0.2500, 0.0696], [0.0551, 0.2500, 0.9137], [0.5551, 0.2500, 0.5863], [0.4449, 0.7500, 0.4137], [0.9449, 0.7500, 0.0863]]}